Version w
Here is crystalline K4MgV6O16 at its relaxed geometry from Materials Project. Energies are from GGA+U.

Output
Space-group type = P1 (1)
Density = 2.7 g/cm3
V = 16.6 Å³ per atom
Total moment = 4.0 μB per cell

POSCAR file:
```
K4MgV6O16
1.0
5.395 0.061 -0.039
0.098 9.112 0.280
-0.064 0.282 9.146
K Mg V O
4 1 6 16
Direct
0.160 0.698 0.147
0.151 0.752 0.587
0.184 0.154 0.293
0.202 0.358 0.818
0.148 0.961 0.845
0.627 0.870 0.366
0.682 0.389 0.140
0.631 0.110 0.648
0.619 0.657 0.856
0.627 0.027 0.015
0.662 0.490 0.511
0.968 0.492 0.532
0.958 0.997 0.014
0.545 0.530 0.009
0.505 0.987 0.502
0.921 0.702 0.854
0.935 0.044 0.681
0.935 0.883 0.357
0.991 0.394 0.124
0.535 0.572 0.697
0.589 0.420 0.316
0.570 0.220 0.095
0.495 0.921 0.193
0.453 0.091 0.825
0.431 0.809 0.881
0.563 0.297 0.590
0.550 0.687 0.418
```

***

Version x
Here is crystalline K4MgV6O16 at its relaxed geometry from Materials Project. Energies are from GGA+U.

Output
Space-group type = Cmm2 (35)
Density = 2.6 g/cm3
V = 17.3 Å³ per atom
Total moment = 4.0 μB per cell

POSCAR file:
```
K4MgV6O16
1.0
5.588 0.000 0.000
0.000 9.156 0.228
0.000 0.228 9.156
K Mg V O
4 1 6 16
Direct
0.188 0.721 0.221
0.172 0.823 0.677
0.172 0.177 0.323
0.188 0.279 0.779
0.129 0.500 0.000
0.648 0.874 0.374
0.628 0.362 0.138
0.648 0.126 0.626
0.628 0.638 0.862
0.640 0.000 0.000
0.640 0.500 0.500
0.935 0.500 0.500
0.935 0.000 0.000
0.476 0.500 0.000
0.513 0.000 0.500
0.954 0.627 0.873
0.947 0.116 0.616
0.947 0.884 0.384
0.954 0.373 0.127
0.532 0.577 0.689
0.532 0.423 0.311
0.532 0.189 0.077
0.543 0.919 0.199
0.543 0.081 0.801
0.532 0.811 0.923
0.543 0.301 0.581
0.543 0.699 0.419
```

***

Which structure loses on stability? version x does.

***

Version w
Here is crystalline K4MgV6O16 at its relaxed geometry from Materials Project. Energies are from GGA+U.

Output
Space-group type = P4 (75)
Density = 2.6 g/cm3
V = 17.4 Å³ per atom
Total moment = 2.0 μB per cell

POSCAR file:
```
K4MgV6O16
1.0
-1.102 5.324 2.388
-0.147 -3.663 8.098
8.734 1.443 0.812
K Mg V O
4 1 6 16
Direct
0.161 0.703 0.127
0.161 0.873 0.703
0.161 0.127 0.297
0.161 0.297 0.873
0.331 0.500 0.500
0.637 0.861 0.366
0.637 0.366 0.139
0.637 0.139 0.634
0.637 0.634 0.861
0.625 0.000 0.000
0.729 0.500 0.500
0.025 0.500 0.500
0.906 0.000 0.000
0.529 0.500 0.000
0.529 0.000 0.500
0.920 0.638 0.866
0.920 0.134 0.638
0.920 0.866 0.362
0.920 0.362 0.134
0.539 0.582 0.679
0.539 0.418 0.321
0.516 0.190 0.094
0.516 0.906 0.190
0.516 0.094 0.810
0.516 0.810 0.906
0.539 0.321 0.582
0.539 0.679 0.418
```

***

Version x
Here is crystalline K4MgV6O16 at its relaxed geometry from Materials Project. Energies are from GGA+U.

Output
Space-group type = P1 (1)
Density = 2.8 g/cm3
V = 16.6 Å³ per atom
Total moment = 4.0 μB per cell

POSCAR file:
```
K4MgV6O16
1.0
5.493 -0.273 -0.069
-0.425 8.981 0.321
-0.075 0.307 9.117
K Mg V O
4 1 6 16
Direct
0.222 0.615 0.180
0.189 0.775 0.620
0.125 0.248 0.422
0.177 0.311 0.848
0.169 0.017 0.172
0.640 0.888 0.359
0.639 0.343 0.145
0.608 0.131 0.646
0.699 0.626 0.871
0.620 0.989 0.002
0.657 0.510 0.502
0.962 0.512 0.498
0.926 0.038 0.011
0.555 0.479 0.001
0.508 0.012 0.504
0.002 0.623 0.883
0.912 0.140 0.661
0.966 0.946 0.337
0.942 0.331 0.146
0.594 0.592 0.694
0.556 0.405 0.309
0.469 0.171 0.105
0.448 0.892 0.166
0.480 0.071 0.821
0.610 0.796 0.918
0.519 0.312 0.598
0.540 0.682 0.410
```

***

Which structure loses on stability? version w does.